The following is a DFT calculation (GGA-PBE) of a relaxed structure of Zn6Ru.

Values from the calculation:
- formation energy from the elements (meV per atom) = -144
- total magnetization (μB/f.u.) = 0.00

CIF file:
```
data_Zn6Ru
_symmetry_space_group_name_H-M 'P 1'
_symmetry_Int_Tables_number 1
_cell_length_a 15.626
_cell_length_b 15.626
_cell_length_c 15.626
_cell_angle_alpha 90.00
_cell_angle_beta 90.00
_cell_angle_gamma 90.00
loop_
_symmetry_equiv_pos_as_xyz
'x,y,z'
loop_
_atom_site_label
_atom_site_type_symbol
_atom_site_fract_x
_atom_site_fract_y
_atom_site_fract_z
Zn1 Zn 0.010 0.398 0.213
Zn2 Zn 0.014 0.525 0.365
Zn3 Zn 0.021 0.463 0.727
Zn4 Zn 0.023 0.287 0.729
Zn5 Zn 0.025 0.114 0.547
Zn6 Zn 0.025 0.135 0.986
Zn7 Zn 0.025 0.725 0.375
Zn8 Zn 0.026 0.384 0.039
Zn9 Zn 0.037 0.148 0.260
Zn10 Zn 0.037 0.273 0.521
Zn11 Zn 0.037 0.313 0.351
Zn12 Zn 0.039 0.026 0.384
Zn13 Zn 0.040 0.899 0.919
Zn14 Zn 0.047 0.475 0.886
Zn15 Zn 0.048 0.625 0.798
Zn16 Zn 0.063 0.287 0.899
Zn17 Zn 0.069 0.125 0.819
Zn18 Zn 0.081 0.540 0.601
Zn19 Zn 0.083 0.875 0.667
Zn20 Zn 0.101 0.419 0.460
Zn21 Zn 0.101 0.563 0.213
Zn22 Zn 0.102 0.787 0.510
Zn23 Zn 0.114 0.547 0.025
Zn24 Zn 0.115 0.775 0.236
Zn25 Zn 0.116 0.961 0.526
Zn26 Zn 0.125 0.167 0.417
Zn27 Zn 0.125 0.702 0.952
Zn28 Zn 0.125 0.819 0.069
Zn29 Zn 0.125 0.975 0.225
Zn30 Zn 0.134 0.276 0.211
Zn31 Zn 0.135 0.986 0.025
Zn32 Zn 0.136 0.775 0.797
Zn33 Zn 0.148 0.260 0.037
Zn34 Zn 0.149 0.210 0.669
Zn35 Zn 0.149 0.963 0.813
Zn36 Zn 0.167 0.417 0.125
Zn37 Zn 0.169 0.351 0.790
Zn38 Zn 0.181 0.569 0.375
Zn39 Zn 0.187 0.649 0.537
Zn40 Zn 0.202 0.548 0.875
Zn41 Zn 0.203 0.636 0.725
Zn42 Zn 0.210 0.669 0.149
Zn43 Zn 0.211 0.134 0.276
Zn44 Zn 0.213 0.010 0.398
Zn45 Zn 0.213 0.101 0.563
Zn46 Zn 0.213 0.271 0.523
Zn47 Zn 0.224 0.789 0.634
Zn48 Zn 0.225 0.125 0.975
Zn49 Zn 0.225 0.297 0.364
Zn50 Zn 0.225 0.736 0.385
Zn51 Zn 0.227 0.479 0.537
Zn52 Zn 0.229 0.477 0.713
Zn53 Zn 0.236 0.115 0.775
Zn54 Zn 0.240 0.963 0.648
Zn55 Zn 0.260 0.037 0.148
Zn56 Zn 0.264 0.885 0.275
Zn57 Zn 0.271 0.523 0.213
Zn58 Zn 0.273 0.521 0.037
Zn59 Zn 0.275 0.264 0.885
Zn60 Zn 0.275 0.703 0.864
Zn61 Zn 0.275 0.875 0.475
Zn62 Zn 0.276 0.211 0.134
Zn63 Zn 0.287 0.729 0.023
Zn64 Zn 0.287 0.899 0.063
Zn65 Zn 0.287 0.990 0.898
Zn66 Zn 0.289 0.866 0.776
Zn67 Zn 0.290 0.331 0.649
Zn68 Zn 0.297 0.364 0.225
Zn69 Zn 0.298 0.452 0.375
Zn70 Zn 0.313 0.351 0.037
Zn71 Zn 0.319 0.431 0.875
Zn72 Zn 0.331 0.649 0.290
Zn73 Zn 0.333 0.583 0.625
Zn74 Zn 0.351 0.037 0.313
Zn75 Zn 0.351 0.790 0.169
Zn76 Zn 0.352 0.740 0.537
Zn77 Zn 0.364 0.225 0.297
Zn78 Zn 0.365 0.014 0.525
Zn79 Zn 0.366 0.724 0.711
Zn80 Zn 0.375 0.025 0.725
Zn81 Zn 0.375 0.181 0.569
Zn82 Zn 0.375 0.298 0.452
Zn83 Zn 0.375 0.833 0.917
Zn84 Zn 0.384 0.039 0.026
Zn85 Zn 0.385 0.225 0.736
Zn86 Zn 0.386 0.453 0.525
Zn87 Zn 0.398 0.213 0.010
Zn88 Zn 0.399 0.437 0.713
Zn89 Zn 0.399 0.581 0.960
Zn90 Zn 0.417 0.125 0.167
Zn91 Zn 0.419 0.460 0.101
Zn92 Zn 0.431 0.875 0.319
Zn93 Zn 0.437 0.713 0.399
Zn94 Zn 0.452 0.375 0.298
Zn95 Zn 0.453 0.525 0.386
Zn96 Zn 0.460 0.101 0.419
Zn97 Zn 0.461 0.974 0.884
Zn98 Zn 0.463 0.687 0.851
Zn99 Zn 0.463 0.727 0.021
Zn100 Zn 0.463 0.852 0.760
Zn101 Zn 0.474 0.616 0.539
Zn102 Zn 0.475 0.275 0.875
Zn103 Zn 0.475 0.865 0.486
Zn104 Zn 0.475 0.886 0.047
Zn105 Zn 0.477 0.713 0.229
Zn106 Zn 0.479 0.537 0.227
Zn107 Zn 0.486 0.475 0.865
Zn108 Zn 0.490 0.602 0.713
Zn109 Zn 0.510 0.102 0.787
Zn110 Zn 0.514 0.975 0.635
Zn111 Zn 0.521 0.037 0.273
Zn112 Zn 0.523 0.213 0.271
Zn113 Zn 0.525 0.365 0.014
Zn114 Zn 0.525 0.386 0.453
Zn115 Zn 0.525 0.775 0.625
Zn116 Zn 0.526 0.116 0.961
Zn117 Zn 0.537 0.187 0.649
Zn118 Zn 0.537 0.227 0.479
Zn119 Zn 0.537 0.352 0.740
Zn120 Zn 0.539 0.474 0.616
Zn121 Zn 0.540 0.601 0.081
Zn122 Zn 0.547 0.025 0.114
Zn123 Zn 0.548 0.875 0.202
Zn124 Zn 0.563 0.213 0.101
Zn125 Zn 0.569 0.375 0.181
Zn126 Zn 0.581 0.960 0.399
Zn127 Zn 0.583 0.625 0.333
Zn128 Zn 0.601 0.081 0.540
Zn129 Zn 0.601 0.937 0.787
Zn130 Zn 0.602 0.713 0.490
Zn131 Zn 0.614 0.953 0.975
Zn132 Zn 0.615 0.725 0.764
Zn133 Zn 0.616 0.539 0.474
Zn134 Zn 0.625 0.333 0.583
Zn135 Zn 0.625 0.525 0.775
Zn136 Zn 0.625 0.681 0.931
Zn137 Zn 0.625 0.798 0.048
Zn138 Zn 0.634 0.224 0.789
Zn139 Zn 0.635 0.514 0.975
Zn140 Zn 0.636 0.725 0.203
Zn141 Zn 0.648 0.240 0.963
Zn142 Zn 0.649 0.290 0.331
Zn143 Zn 0.649 0.537 0.187
Zn144 Zn 0.667 0.083 0.875
Zn145 Zn 0.669 0.149 0.210
Zn146 Zn 0.681 0.931 0.625
Zn147 Zn 0.687 0.851 0.463
Zn148 Zn 0.702 0.952 0.125
Zn149 Zn 0.703 0.864 0.275
Zn150 Zn 0.710 0.831 0.851
Zn151 Zn 0.711 0.366 0.724
Zn152 Zn 0.713 0.229 0.477
Zn153 Zn 0.713 0.399 0.437
Zn154 Zn 0.713 0.490 0.602
Zn155 Zn 0.724 0.711 0.366
Zn156 Zn 0.725 0.203 0.636
Zn157 Zn 0.725 0.375 0.025
Zn158 Zn 0.725 0.764 0.615
Zn159 Zn 0.727 0.021 0.463
Zn160 Zn 0.729 0.023 0.287
Zn161 Zn 0.736 0.385 0.225
Zn162 Zn 0.740 0.537 0.352
Zn163 Zn 0.760 0.463 0.852
Zn164 Zn 0.764 0.615 0.725
Zn165 Zn 0.771 0.977 0.787
Zn166 Zn 0.773 0.979 0.963
Zn167 Zn 0.775 0.236 0.115
Zn168 Zn 0.775 0.625 0.525
Zn169 Zn 0.775 0.797 0.136
Zn170 Zn 0.776 0.289 0.866
Zn171 Zn 0.787 0.510 0.102
Zn172 Zn 0.787 0.601 0.937
Zn173 Zn 0.787 0.771 0.977
Zn174 Zn 0.789 0.634 0.224
Zn175 Zn 0.790 0.169 0.351
Zn176 Zn 0.797 0.136 0.775
Zn177 Zn 0.798 0.048 0.625
Zn178 Zn 0.813 0.149 0.963
Zn179 Zn 0.819 0.069 0.125
Zn180 Zn 0.831 0.851 0.710
Zn181 Zn 0.833 0.917 0.375
Zn182 Zn 0.851 0.463 0.687
Zn183 Zn 0.851 0.710 0.831
Zn184 Zn 0.852 0.760 0.463
Zn185 Zn 0.864 0.275 0.703
Zn186 Zn 0.865 0.486 0.475
Zn187 Zn 0.866 0.776 0.289
Zn188 Zn 0.875 0.202 0.548
Zn189 Zn 0.875 0.319 0.431
Zn190 Zn 0.875 0.475 0.275
Zn191 Zn 0.875 0.667 0.083
Zn192 Zn 0.884 0.461 0.974
Zn193 Zn 0.885 0.275 0.264
Zn194 Zn 0.886 0.047 0.475
Zn195 Zn 0.898 0.287 0.990
Zn196 Zn 0.899 0.063 0.287
Zn197 Zn 0.899 0.919 0.040
Zn198 Zn 0.917 0.375 0.833
Zn199 Zn 0.919 0.040 0.899
Zn200 Zn 0.931 0.625 0.681
Zn201 Zn 0.937 0.787 0.601
Zn202 Zn 0.952 0.125 0.702
Zn203 Zn 0.953 0.975 0.614
Zn204 Zn 0.960 0.399 0.581
Zn205 Zn 0.961 0.526 0.116
Zn206 Zn 0.963 0.648 0.240
Zn207 Zn 0.963 0.773 0.979
Zn208 Zn 0.963 0.813 0.149
Zn209 Zn 0.974 0.884 0.461
Zn210 Zn 0.975 0.225 0.125
Zn211 Zn 0.975 0.614 0.953
Zn212 Zn 0.975 0.635 0.514
Zn213 Zn 0.977 0.787 0.771
Zn214 Zn 0.979 0.963 0.773
Zn215 Zn 0.986 0.025 0.135
Zn216 Zn 0.990 0.898 0.287
Ru1 Ru 0.040 0.674 0.100
Ru2 Ru 0.076 0.710 0.650
Ru3 Ru 0.100 0.040 0.674
Ru4 Ru 0.123 0.877 0.377
Ru5 Ru 0.125 0.375 0.625
Ru6 Ru 0.127 0.127 0.127
Ru7 Ru 0.150 0.424 0.290
Ru8 Ru 0.174 0.400 0.960
Ru9 Ru 0.210 0.850 0.924
Ru10 Ru 0.290 0.150 0.424
Ru11 Ru 0.326 0.600 0.460
Ru12 Ru 0.350 0.576 0.790
Ru13 Ru 0.373 0.873 0.627
Ru14 Ru 0.375 0.625 0.125
Ru15 Ru 0.377 0.123 0.877
Ru16 Ru 0.400 0.960 0.174
Ru17 Ru 0.424 0.290 0.150
Ru18 Ru 0.460 0.326 0.600
Ru19 Ru 0.540 0.826 0.900
Ru20 Ru 0.576 0.790 0.350
Ru21 Ru 0.600 0.460 0.326
Ru22 Ru 0.623 0.623 0.623
Ru23 Ru 0.625 0.125 0.375
Ru24 Ru 0.627 0.373 0.873
Ru25 Ru 0.650 0.076 0.710
Ru26 Ru 0.674 0.100 0.040
Ru27 Ru 0.710 0.650 0.076
Ru28 Ru 0.790 0.350 0.576
Ru29 Ru 0.826 0.900 0.540
Ru30 Ru 0.850 0.924 0.210
Ru31 Ru 0.873 0.627 0.373
Ru32 Ru 0.875 0.875 0.875
Ru33 Ru 0.877 0.377 0.123
Ru34 Ru 0.900 0.540 0.826
Ru35 Ru 0.924 0.210 0.850
Ru36 Ru 0.960 0.174 0.400
```